## Rb2NiH8C2O10 (GGA+U)

Data for an optimized crystal structure of Rb2NiH8C2O10.

Cell: 7.3426 6.5940 12.3642 Å, 90.00 112.69 90.00°
Space group P2_1/c (No. 14)
Asymmetric unit:
Rb 0.2341 0.1765 0.1785 x4
Ni 0.5000 0.0000 0.5000 x2
H 0.0046 0.1750 0.3727 x4
H 0.1522 0.1371 0.9049 x4
H 0.3166 0.7177 0.5165 x4
H 0.3492 0.6574 0.1393 x4
C 0.2816 0.6864 0.3279 x4
O 0.1359 0.2216 0.4273 x4
O 0.1979 0.6255 0.3971 x4
O 0.2373 0.6033 0.2262 x4
O 0.4103 0.6665 0.8579 x4
O 0.4164 0.7049 0.0864 x4

***

## V8Sn16H85C32O36 (GGA+U)

Data for an optimized crystal structure of V8Sn16H85C32O36.

Cell: 12.8674 13.4051 13.6438 Å, 89.98 89.86 89.88°
Space group P1 (No. 1)
Asymmetric unit:
V 0.0000 0.0000 0.0000 x1
V 0.9997 0.4965 0.0005 x1
V 0.4533 0.4997 0.4999 x1
V 0.4530 0.9968 0.4997 x1
V 0.4997 0.9966 0.2388 x1
V 0.5008 0.5017 0.2391 x1
V 0.9527 0.9998 0.7393 x1
V 0.9528 0.4967 0.7394 x1
Sn 0.0950 0.2486 0.0655 x1
Sn 0.1062 0.7484 0.6553 x1
Sn 0.1849 0.5022 0.5996 x1
Sn 0.1846 0.9946 0.6002 x1
Sn 0.2679 0.0005 0.0991 x1
Sn 0.2684 0.4931 0.0996 x1
Sn 0.3428 0.2446 0.1539 x1
Sn 0.3545 0.7483 0.5679 x1
Sn 0.5942 0.7481 0.1730 x1
Sn 0.6064 0.2483 0.5840 x1
Sn 0.6847 0.0019 0.6390 x1
Sn 0.6847 0.4945 0.6390 x1
Sn 0.7684 0.5019 0.1395 x1
Sn 0.7680 0.9946 0.1394 x1
Sn 0.8455 0.7480 0.0898 x1
Sn 0.8543 0.2481 0.6711 x1
H 0.0113 0.8156 0.1885 x1
H 0.0116 0.6807 0.1886 x1
H 0.0146 0.0487 0.4957 x1
H 0.0148 0.4479 0.4959 x1
H 0.0279 0.7482 0.4704 x1
H 0.0853 0.3039 0.8678 x1
H 0.0863 0.2490 0.2831 x1
H 0.0865 0.6809 0.8430 x1
H 0.0863 0.8156 0.8431 x1
H 0.0895 0.5357 0.4270 x1
H 0.0898 0.9606 0.4273 x1
H 0.1293 0.0888 0.4306 x1
H 0.1295 0.4076 0.4306 x1
H 0.1670 0.0990 0.7718 x1
H 0.1678 0.3988 0.7708 x1
H 0.1702 0.6349 0.2058 x1
H 0.1698 0.8604 0.2072 x1
H 0.1722 0.5193 0.2723 x1
H 0.1723 0.9771 0.2718 x1
H 0.2055 0.7481 0.8283 x1
H 0.2119 0.2387 0.8925 x1
H 0.2409 0.7483 0.4014 x1
H 0.2503 0.2360 0.3389 x1
H 0.2801 0.0199 0.7726 x1
H 0.2808 0.4768 0.7722 x1
H 0.2826 0.1357 0.7068 x1
H 0.2832 0.3608 0.7065 x1
H 0.2854 0.5974 0.2701 x1
H 0.2852 0.8980 0.2709 x1
H 0.3223 0.5888 0.9314 x1
H 0.3235 0.9070 0.9301 x1
H 0.3521 0.7483 0.7681 x1
H 0.3609 0.6819 0.3806 x1
H 0.3608 0.8145 0.3805 x1
H 0.3660 0.0343 0.9278 x1
H 0.3665 0.4617 0.9275 x1
H 0.3726 0.3090 0.3507 x1
H 0.4346 0.2375 0.9657 x1
H 0.4379 0.5528 0.9968 x1
H 0.4386 0.9430 0.9960 x1
H 0.4420 0.1810 0.6885 x1
H 0.4418 0.3155 0.6886 x1
H 0.4638 0.6818 0.7240 x1
H 0.4637 0.8146 0.7240 x1
H 0.5144 0.5487 0.7437 x1
H 0.5146 0.9478 0.7436 x1
H 0.5218 0.3064 0.0515 x1
H 0.5276 0.2482 0.7688 x1
H 0.5865 0.1810 0.3962 x1
H 0.5868 0.3157 0.3962 x1
H 0.5871 0.7482 0.9557 x1
H 0.5894 0.0357 0.8121 x1
H 0.5895 0.4607 0.8120 x1
H 0.6292 0.5887 0.8084 x1
H 0.6294 0.9076 0.8084 x1
H 0.6672 0.5990 0.4674 x1
H 0.6673 0.8976 0.4675 x1
H 0.6676 0.1352 0.0330 x1
H 0.6704 0.3610 0.0329 x1
H 0.6722 0.0192 0.9671 x1
H 0.6721 0.4771 0.9671 x1
H 0.7057 0.2480 0.4105 x1
H 0.7120 0.7480 0.3584 x1
H 0.7407 0.2482 0.8380 x1
H 0.7555 0.7483 0.8907 x1
H 0.7803 0.5200 0.4663 x1
H 0.7802 0.9763 0.4663 x1
H 0.7827 0.6357 0.5322 x1
H 0.7829 0.8605 0.5321 x1
H 0.7844 0.0986 0.9692 x1
H 0.7855 0.3986 0.9686 x1
H 0.8226 0.0889 0.3080 x1
H 0.8228 0.4075 0.3081 x1
H 0.8523 0.2483 0.4711 x1
H 0.8602 0.3146 0.8585 x1
H 0.8607 0.1818 0.8586 x1
H 0.8660 0.5345 0.3114 x1
H 0.8659 0.9618 0.3113 x1
H 0.9266 0.7482 0.2703 x1
H 0.9381 0.0529 0.2422 x1
H 0.9383 0.4433 0.2424 x1
H 0.9421 0.6810 0.5509 x1
H 0.9419 0.8155 0.5508 x1
H 0.9640 0.1818 0.5149 x1
H 0.9639 0.3147 0.5149 x1
C 0.0460 0.2470 0.2126 x1
C 0.0931 0.0282 0.4724 x1
C 0.0931 0.4683 0.4723 x1
C 0.1219 0.7482 0.8125 x1
C 0.1341 0.2599 0.9165 x1
C 0.2183 0.5715 0.2284 x1
C 0.2182 0.9238 0.2288 x1
C 0.2340 0.0728 0.7293 x1
C 0.2349 0.4243 0.7285 x1
C 0.3237 0.2603 0.3067 x1
C 0.3252 0.7483 0.4129 x1
C 0.3607 0.5291 0.9727 x1
C 0.3611 0.9663 0.9723 x1
C 0.4158 0.7483 0.7147 x1
C 0.4535 0.2599 0.0406 x1
C 0.4891 0.2482 0.6970 x1
C 0.5456 0.7484 0.0257 x1
C 0.5929 0.5282 0.7668 x1
C 0.5929 0.9682 0.7668 x1
C 0.6221 0.2482 0.4267 x1
C 0.6365 0.7482 0.3216 x1
C 0.7170 0.0725 0.0108 x1
C 0.7182 0.4245 0.0106 x1
C 0.7342 0.5728 0.5098 x1
C 0.7342 0.9235 0.5098 x1
C 0.8237 0.7481 0.9381 x1
C 0.8250 0.2482 0.8263 x1
C 0.8606 0.0294 0.2662 x1
C 0.8608 0.4669 0.2663 x1
C 0.9160 0.2483 0.5242 x1
C 0.9649 0.7482 0.1983 x1
C 0.9892 0.7483 0.5423 x1
O 0.0447 0.5691 0.6769 x1
O 0.0449 0.9272 0.6769 x1
O 0.1234 0.5349 0.0258 x1
O 0.1238 0.9604 0.0253 x1
O 0.2234 0.8471 0.6044 x1
O 0.2235 0.6496 0.6042 x1
O 0.2264 0.3464 0.1061 x1
O 0.2267 0.1484 0.1041 x1
O 0.3285 0.0349 0.5257 x1
O 0.3288 0.4614 0.5253 x1
O 0.4074 0.0708 0.1765 x1
O 0.4096 0.4294 0.1770 x1
O 0.4680 0.6185 0.5384 x1
O 0.4681 0.8780 0.5385 x1
O 0.4761 0.0052 0.3685 x1
O 0.4763 0.4901 0.3689 x1
O 0.4861 0.8758 0.2007 x1
O 0.4868 0.6227 0.2014 x1
O 0.5449 0.0692 0.5619 x1
O 0.5452 0.4270 0.5622 x1
O 0.6237 0.0346 0.2148 x1
O 0.6245 0.4618 0.2140 x1
O 0.7235 0.1494 0.6347 x1
O 0.7234 0.3469 0.6347 x1
O 0.7274 0.6496 0.1348 x1
O 0.7274 0.8469 0.1347 x1
O 0.8283 0.5344 0.7135 x1
O 0.8285 0.9620 0.7135 x1
O 0.9074 0.5698 0.0626 x1
O 0.9076 0.9273 0.0623 x1
O 0.9680 0.1186 0.7003 x1
O 0.9685 0.3775 0.7010 x1
O 0.9771 0.5041 0.8702 x1
O 0.9767 0.9917 0.8701 x1
O 0.9847 0.3764 0.0394 x1
O 0.9864 0.1206 0.0382 x1

***

Number 1: theoretical density 2.54 g/cm³, formation energy -1.5652 eV per atom, total moment 4.000 μB/cell. Number 2: theoretical density 2.37 g/cm³, formation energy -0.5980 eV per atom, total moment 11.003 μB/cell.